# LiCSN, optimized geometry, DFT PBE
# * DFT formation energy: -2.337 eV per formula unit
data_LiCSN
_symmetry_space_group_name_H-M 'P n m a'
_symmetry_Int_Tables_number 62
_cell_length_a 12.343
_cell_length_b 3.859
_cell_length_c 5.345
_cell_angle_alpha 90.00
_cell_angle_beta 90.00
_cell_angle_gamma 90.00
loop_
_symmetry_equiv_pos_as_xyz
'x,y,z'
'-x,-y,-z'
'-x+1/2,-y,z+1/2'
'x+1/2,y,-z+1/2'
'x+1/2,-y+1/2,-z+1/2'
'-x+1/2,y+1/2,z+1/2'
'-x,y+1/2,-z'
'x,-y+1/2,z'
loop_
_atom_site_label
_atom_site_type_symbol
_atom_site_fract_x
_atom_site_fract_y
_atom_site_fract_z
_atom_site_occupancy
Li1 Li 0.099 0.250 0.061 1
C1 C 0.109 0.750 0.610 1
S1 S 0.186 0.750 0.362 1
N1 N 0.055 0.750 0.794 1